No. 1
A relaxed structure of NbBRh3, computed with PBE.

a b c (Å): 4.113 4.113 4.113
angles (deg): 90.00 90.00 90.00
Space group Pm-3m (No. 221)
Unique sites:
1 Nb 0.000 0.000 0.000 x1
2 B 0.500 0.500 0.500 x1
3 Rh 0.000 0.500 0.500 x3

Calculated values
Calculated volume: 13.911 Å³/atom
Spin magnetization: 1.0 μB per cell
DFT total energy: -40.2 eV for the cell shown
ΔE_f: -6.22 kcal/mol of atoms
Crystal system: cubic

No. 2
A relaxed structure of ScNb2B2Ru5, computed with PBE.

a b c (Å): 13.399 13.403 3.053
angles (deg): 90.00 90.00 90.00
Space group Cmmm (No. 65)
Unique sites:
1 Sc 0.175 0.000 0.000 x4
2 Nb 0.000 0.323 0.000 x4
3 Nb 0.250 0.250 0.000 x4
4 B 0.000 0.119 0.000 x4
5 B 0.123 0.500 0.000 x4
6 Ru 0.000 0.000 0.500 x2
7 Ru 0.000 0.500 0.500 x2
8 Ru 0.104 0.180 0.500 x8
9 Ru 0.173 0.393 0.500 x8

Calculated values
Calculated volume: 13.705 Å³/atom
Spin magnetization: 0.0 μB per cell
DFT total energy: -365.9 eV for the cell shown
ΔE_f: -12.02 kcal/mol of atoms
Crystal system: orthorhombic

No. 3
A relaxed structure of Sc3Nb3B4Ru10, computed with PBE.

a b c (Å): 3.066 13.438 13.444
angles (deg): 90.00 90.00 90.00
Space group Amm2 (No. 38)
Unique sites:
1 Sc 0.000 0.000 0.000 x2
2 Sc 0.000 0.175 0.324 x4
3 Nb 0.000 0.000 0.649 x2
4 Nb 0.000 0.249 0.073 x4
5 B 0.000 0.000 0.203 x2
6 B 0.000 0.000 0.444 x2
7 B 0.000 0.122 0.824 x4
8 Ru 0.500 0.000 0.326 x2
9 Ru 0.500 0.000 0.821 x2
10 Ru 0.500 0.103 0.506 x4
11 Ru 0.500 0.106 0.149 x4
12 Ru 0.500 0.173 0.716 x4
13 Ru 0.500 0.177 0.929 x4

Calculated values
Calculated volume: 13.849 Å³/atom
Spin magnetization: 0.0 μB per cell
DFT total energy: -359.0 eV for the cell shown
ΔE_f: -12.41 kcal/mol of atoms
Crystal system: orthorhombic

No. 4
A relaxed structure of Nb2BS, computed with PBE.

a b c (Å): 3.3730 3.3730 11.6978
angles (deg): 90.00 90.00 120.00
Space group P6_3/mmc (No. 194)
Unique sites:
1 Nb 0.3333 0.6667 0.1002 x4
2 B 0.0000 0.0000 0.0000 x2
3 S 0.3333 0.6667 0.7500 x2

Calculated values
Calculated volume: 14.407 Å³/atom
Spin magnetization: 0.0 μB per cell
DFT total energy: -69.0 eV for the cell shown
ΔE_f: -22.83 kcal/mol of atoms
Crystal system: hexagonal

No. 5
A relaxed structure of Nb5SiB2, computed with PBE.

a b c (Å): 6.282 6.282 11.694
angles (deg): 90.00 90.00 90.00
Space group I4/mcm (No. 140)
Unique sites:
1 Nb 0.000 0.000 0.000 x4
2 Nb 0.169 0.331 0.138 x16
3 Si 0.000 0.000 0.250 x4
4 B 0.113 0.387 0.500 x8

Calculated values
Calculated volume: 14.420 Å³/atom
DFT total energy: -298.0 eV for the cell shown
ΔE_f: -15.03 kcal/mol of atoms
Crystal system: tetragonal

No. 6
A relaxed structure of Nb10Si3B3, computed with PBE.

a b c (Å): 8.968 11.753 9.033
angles (deg): 90.00 90.00 90.00
Space group Fmm2 (No. 42)
Unique sites:
1 Nb 0.000 0.138 0.000 x8
2 Nb 0.000 0.142 0.673 x8
3 Nb 0.173 0.142 0.327 x16
4 Nb 0.246 0.000 0.084 x8
5 Si 0.000 0.000 0.451 x4
6 Si 0.250 0.250 0.078 x8
7 B 0.000 0.000 0.209 x4
8 B 0.115 0.000 0.833 x8

Calculated values
Calculated volume: 14.875 Å³/atom
Spin magnetization: 0.0 μB per cell
DFT total energy: -590.7 eV for the cell shown
ΔE_f: -14.93 kcal/mol of atoms
Crystal system: orthorhombic

No. 7
A relaxed structure of Nb5Si3B, computed with PBE.

a b c (Å): 7.6733 7.6733 5.3100
angles (deg): 90.00 90.00 120.00
Space group P6_3/mcm (No. 193)
Unique sites:
1 Nb 0.0000 0.2471 0.2500 x6
2 Nb 0.3333 0.6667 0.0000 x4
3 Si 0.0000 0.4013 0.7500 x6
4 B 0.0000 0.0000 0.0000 x2

Calculated values
Calculated volume: 15.042 Å³/atom
DFT total energy: -159.4 eV for the cell shown
ΔE_f: -15.93 kcal/mol of atoms
Crystal system: hexagonal

No. 8
A relaxed structure of TiNb8B12, computed with PBE.

a b c (Å): 3.141 3.322 42.320
angles (deg): 90.00 90.00 90.00
Space group Immm (No. 71)
Unique sites:
1 Ti 0.000 0.000 0.000 x2
2 Nb 0.000 0.000 0.334 x4
3 Nb 0.000 0.500 0.104 x4
4 Nb 0.000 0.500 0.228 x4
5 Nb 0.000 0.500 0.439 x4
6 B 0.000 0.000 0.145 x4
7 B 0.000 0.000 0.188 x4
8 B 0.000 0.000 0.479 x4
9 B 0.000 0.500 0.043 x4
10 B 0.000 0.500 0.289 x4
11 B 0.000 0.500 0.378 x4

Calculated values
Calculated volume: 10.515 Å³/atom
Spin magnetization: 0.0 μB per cell
DFT total energy: -371.3 eV for the cell shown
ΔE_f: -18.45 kcal/mol of atoms
Crystal system: orthorhombic